Entry from the Materials Project: crystalline NaLaF4 at its relaxed geometry (r2SCAN).

## Properties
As for the formation energy: -3.990 eV/atom. As for the space-group type: No. 1. The value obtained for the energy is -69.75 eV per formula unit. For the volume, the calculation gives 13.74 Å³ per atom.

a = 6.128 Å, b = 7.191 Å, c = 7.209 Å
α = 63.99°, β = 64.91°, γ = 64.98°
Positions (direct):
Na  0.667  0.488  0.159
Na  0.663  0.014  0.674
Na  0.330  0.444  0.893
F  0.041  0.827  0.759
F  0.280  0.138  0.617
F  0.586  0.720  0.657
F  0.970  0.895  0.378
F  0.594  0.179  0.191
F  0.985  0.389  0.879
F  0.373  0.548  0.491
F  0.029  0.285  0.309
F  0.748  0.252  0.742
F  0.377  0.013  0.019
F  0.757  0.738  0.223
F  0.261  0.629  0.122
La  0.337  0.930  0.398
La  0.004  0.006  0.990
La  0.996  0.505  0.499

Entry from the Materials Project: crystalline LaSeO3F at its relaxed geometry (r2SCAN).

## Properties
As for the formation energy: -2.609 eV/atom. As for the space-group type: No. 14. The value obtained for the energy is -80.75 eV per formula unit. For the volume, the calculation gives 15.12 Å³ per atom.

a = 7.139 Å, b = 8.475 Å, c = 18.131 Å
α = 83.10°, β = 90.00°, γ = 90.00°
Positions (direct):
O  0.888  0.286  0.830
O  0.765  0.088  0.380
O  0.247  0.876  0.770
O  0.982  0.588  0.847
O  0.235  0.912  0.620
O  0.569  0.394  0.303
O  0.388  0.214  0.170
O  0.033  0.322  0.422
O  0.861  0.972  0.863
O  0.411  0.133  0.439
O  0.612  0.786  0.830
O  0.361  0.528  0.137
O  0.735  0.588  0.380
O  0.931  0.894  0.303
O  0.518  0.088  0.847
O  0.851  0.064  0.534
O  0.149  0.936  0.466
O  0.533  0.178  0.578
O  0.967  0.678  0.578
O  0.139  0.028  0.137
O  0.253  0.376  0.770
O  0.911  0.367  0.561
O  0.112  0.714  0.170
O  0.089  0.633  0.439
O  0.649  0.564  0.534
O  0.589  0.867  0.561
O  0.467  0.822  0.422
O  0.069  0.106  0.697
O  0.753  0.124  0.230
O  0.747  0.624  0.230
O  0.639  0.472  0.863
O  0.351  0.436  0.466
O  0.018  0.412  0.153
O  0.265  0.412  0.620
O  0.431  0.606  0.697
O  0.482  0.912  0.153
La  0.169  0.118  0.847
La  0.680  0.314  0.451
La  0.820  0.814  0.451
La  0.180  0.186  0.549
La  0.829  0.702  0.954
La  0.831  0.882  0.153
La  0.320  0.686  0.549
La  0.329  0.798  0.046
La  0.331  0.618  0.847
La  0.171  0.298  0.046
La  0.669  0.382  0.153
La  0.671  0.202  0.954
Se  0.596  0.593  0.303
Se  0.674  0.976  0.803
Se  0.680  0.021  0.600
Se  0.320  0.979  0.400
Se  0.174  0.524  0.197
Se  0.326  0.024  0.197
Se  0.826  0.476  0.803
Se  0.096  0.907  0.697
Se  0.904  0.093  0.303
Se  0.180  0.479  0.400
Se  0.820  0.521  0.600
Se  0.404  0.407  0.697
F  0.649  0.920  0.002
F  0.351  0.080  0.998
F  0.291  0.345  0.915
F  0.503  0.349  0.037
F  0.791  0.155  0.085
F  0.149  0.580  0.998
F  0.709  0.655  0.085
F  0.851  0.420  0.002
F  0.497  0.651  0.963
F  0.997  0.849  0.037
F  0.003  0.151  0.963
F  0.209  0.845  0.915

Entry from the Materials Project: crystalline LaSiO3F at its relaxed geometry (r2SCAN).

## Properties
As for the formation energy: -3.662 eV/atom. As for the space-group type: No. 190. The value obtained for the energy is -81.54 eV per formula unit. For the volume, the calculation gives 13.08 Å³ per atom.

a = 7.064 Å, b = 7.064 Å, c = 10.898 Å
α = 90.00°, β = 90.00°, γ = 120.00°
Positions (direct):
O  0.806  0.041  0.750
O  0.959  0.765  0.750
O  0.397  0.077  0.377
O  0.603  0.681  0.623
O  0.319  0.923  0.877
O  0.397  0.077  0.123
O  0.603  0.681  0.877
O  0.319  0.923  0.623
O  0.077  0.397  0.623
O  0.077  0.397  0.877
O  0.681  0.603  0.377
O  0.765  0.959  0.250
O  0.681  0.603  0.123
O  0.923  0.319  0.377
O  0.235  0.194  0.750
O  0.923  0.319  0.123
O  0.194  0.235  0.250
O  0.041  0.806  0.250
La  0.644  0.000  0.500
La  0.644  0.000  0.000
La  0.356  0.356  0.000
La  0.000  0.644  0.000
La  0.356  0.356  0.500
La  0.000  0.644  0.500
Si  0.273  0.047  0.250
Si  0.047  0.273  0.750
Si  0.774  0.727  0.250
Si  0.727  0.774  0.750
Si  0.953  0.226  0.250
Si  0.226  0.953  0.750
F  0.667  0.333  0.575
F  0.333  0.667  0.075
F  0.667  0.333  0.925
F  0.000  0.000  0.000
F  0.333  0.667  0.425
F  0.000  0.000  0.500

Entry from the Materials Project: crystalline LaTh4OF19 at its relaxed geometry (r2SCAN).

## Properties
As for the formation energy: -4.179 eV/atom. As for the space-group type: No. 11. The value obtained for the energy is -493.48 eV per formula unit. For the volume, the calculation gives 13.85 Å³ per atom.

a = 8.196 Å, b = 7.291 Å, c = 12.148 Å
α = 72.52°, β = 90.00°, γ = 90.00°
Positions (direct):
F  0.750  0.989  0.454
F  0.250  0.011  0.546
F  0.250  0.312  0.654
F  0.483  0.834  0.679
F  0.250  0.570  0.456
F  0.917  0.896  0.885
F  0.750  0.430  0.544
F  0.082  0.228  0.881
F  0.501  0.487  0.671
F  0.418  0.228  0.881
F  0.250  0.976  0.784
F  0.417  0.104  0.115
F  0.750  0.024  0.216
F  0.250  0.748  0.223
F  0.750  0.252  0.777
F  0.983  0.166  0.321
F  0.017  0.834  0.679
F  0.750  0.688  0.346
F  0.500  0.500  0.000
F  0.083  0.104  0.115
F  0.750  0.020  0.663
F  0.993  0.230  0.520
F  0.007  0.770  0.480
F  0.918  0.772  0.119
F  0.250  0.388  0.180
F  0.583  0.896  0.885
F  0.507  0.230  0.520
F  0.750  0.612  0.820
F  0.250  0.980  0.337
F  0.000  0.500  0.000
F  0.001  0.513  0.329
F  0.499  0.513  0.329
F  0.517  0.166  0.321
F  0.999  0.487  0.671
F  0.582  0.772  0.119
F  0.493  0.770  0.480
F  0.750  0.430  0.189
F  0.250  0.570  0.811
Th  0.250  0.348  0.000
Th  0.750  0.652  0.000
Th  0.750  0.317  0.385
Th  0.500  0.136  0.725
Th  0.000  0.864  0.275
Th  0.500  0.864  0.275
Th  0.250  0.683  0.615
Th  0.000  0.136  0.725
O  0.250  0.729  0.999
O  0.750  0.271  0.001
La  0.250  0.300  0.382
La  0.750  0.700  0.618

Entry from the Materials Project: crystalline Rb2LaF5 at its relaxed geometry (r2SCAN).

## Properties
As for the formation energy: -3.708 eV/atom. As for the space-group type: No. 33. The value obtained for the energy is -102.90 eV per formula unit. For the volume, the calculation gives 19.05 Å³ per atom.

a = 6.890 Å, b = 7.819 Å, c = 11.313 Å
α = 90.00°, β = 90.00°, γ = 90.00°
Positions (direct):
La  0.438  0.268  0.503
La  0.062  0.268  0.003
La  0.562  0.768  0.497
La  0.938  0.768  0.997
F  0.399  0.269  0.011
F  0.336  0.269  0.304
F  0.863  0.267  0.169
F  0.354  0.549  0.579
F  0.164  0.269  0.804
F  0.637  0.267  0.669
F  0.664  0.769  0.696
F  0.852  0.487  0.922
F  0.148  0.987  0.078
F  0.601  0.769  0.989
F  0.836  0.769  0.196
F  0.101  0.269  0.511
F  0.352  0.987  0.578
F  0.648  0.487  0.422
F  0.646  0.049  0.421
F  0.146  0.549  0.079
F  0.363  0.767  0.331
F  0.137  0.767  0.831
F  0.899  0.769  0.489
F  0.854  0.049  0.921
Rb  0.966  0.515  0.671
Rb  0.034  0.015  0.329
Rb  0.534  0.022  0.171
Rb  0.466  0.015  0.829
Rb  0.534  0.515  0.171
Rb  0.466  0.522  0.829
Rb  0.034  0.522  0.329
Rb  0.966  0.022  0.671

Entry from the Materials Project: crystalline LaZr2F11 at its relaxed geometry (r2SCAN).

## Properties
As for the formation energy: -4.154 eV/atom. As for the space-group type: No. 72. The value obtained for the energy is -167.79 eV per formula unit. For the volume, the calculation gives 15.71 Å³ per atom.

a = 8.475 Å, b = 8.475 Å, c = 8.475 Å
α = 125.17°, β = 106.52°, γ = 98.03°
Positions (direct):
F  0.781  0.369  0.150
F  0.719  0.869  0.589
F  0.706  0.391  0.841
F  0.294  0.609  0.159
F  0.821  0.738  0.289
F  0.950  0.109  0.315
F  0.550  0.865  0.159
F  0.949  0.238  0.917
F  0.000  0.500  0.500
F  0.179  0.262  0.711
F  0.281  0.131  0.411
F  0.051  0.762  0.083
F  0.206  0.365  0.315
F  0.500  0.000  0.500
F  0.794  0.635  0.685
F  0.321  0.032  0.083
F  0.050  0.891  0.685
F  0.551  0.468  0.289
F  0.449  0.532  0.711
F  0.219  0.631  0.850
F  0.679  0.968  0.917
F  0.450  0.135  0.841
Zr  0.181  0.368  0.549
Zr  0.319  0.868  0.188
Zr  0.681  0.132  0.812
Zr  0.819  0.632  0.451
La  0.250  0.250  0.000
La  0.750  0.750  0.000

> The lowest volume belongs to which entry?

LaSiO3F